(1)
# Ca3Al3N5 r²SCAN relaxed
# Crystal system = triclinic
# Volume = 13.2 Å³ per atom
# DFT total energy = -205.389 eV for the cell shown
# Formation energy = -1.431 eV per atom
data_Ca3Al3N5
_cell_length_a 5.628
_cell_length_b 6.922
_cell_length_c 8.293
_cell_angle_alpha 108.31
_cell_angle_beta 104.48
_cell_angle_gamma 95.82
_symmetry_space_group_name_H-M 'P -1'
_symmetry_Int_Tables_number 2
_symmetry_space_group_name_Hall '-P 1'
loop_
_atom_site_label
_atom_site_type_symbol
_atom_site_fract_x
_atom_site_fract_y
_atom_site_fract_z
Ca1 Ca 0.163 0.142 0.201
Ca2 Ca 0.167 0.362 0.883
Ca3 Ca 0.311 0.923 0.606
Al1 Al 0.206 0.454 0.571
Al2 Al 0.375 0.622 0.290
Al3 Al 0.406 0.815 0.970
N1 N 0.113 0.562 0.386
N2 N 0.249 0.724 0.111
N3 N 0.263 0.022 0.898
N4 N 0.337 0.211 0.518
N5 N 0.464 0.604 0.785

(2)
# AlPI8 r²SCAN relaxed
# Crystal system = orthorhombic
# Volume = 48.3 Å³ per atom
# DFT total energy = -864.257 eV for the cell shown
# Formation energy = -0.386 eV per atom
data_AlPI8
_cell_length_a 11.316
_cell_length_b 10.765
_cell_length_c 15.858
_cell_angle_alpha 90.00
_cell_angle_beta 90.00
_cell_angle_gamma 90.00
_symmetry_space_group_name_H-M 'P n a 21'
_symmetry_Int_Tables_number 33
_symmetry_space_group_name_Hall 'P 2c -2n'
loop_
_atom_site_label
_atom_site_type_symbol
_atom_site_fract_x
_atom_site_fract_y
_atom_site_fract_z
Al1 Al 0.080 0.006 0.000
P1 P 0.042 0.511 0.213
I1 I 0.015 0.292 0.239
I2 I 0.030 0.371 0.834
I3 I 0.051 0.948 0.156
I4 I 0.077 0.430 0.590
I5 I 0.107 0.009 0.416
I6 I 0.171 0.224 0.994
I7 I 0.231 0.851 0.941
I8 I 0.247 0.042 0.687

(3)
# PmPd3 r²SCAN relaxed
# Crystal system = cubic
# Volume = 17.9 Å³ per atom
# DFT total energy = -101.786 eV for the cell shown
# Formation energy = -0.841 eV per atom
data_PmPd3
_cell_length_a 4.152
_cell_length_b 4.152
_cell_length_c 4.152
_cell_angle_alpha 90.00
_cell_angle_beta 90.00
_cell_angle_gamma 90.00
_symmetry_space_group_name_H-M 'P m -3 m'
_symmetry_Int_Tables_number 221
_symmetry_space_group_name_Hall '-P 4 2 3'
loop_
_atom_site_label
_atom_site_type_symbol
_atom_site_fract_x
_atom_site_fract_y
_atom_site_fract_z
Pm1 Pm 0.000 0.000 0.000
Pd1 Pd 0.000 0.500 0.500

(4)
# La2PbS4 r²SCAN relaxed
# Crystal system = tetragonal
# Volume = 24.4 Å³ per atom
# DFT total energy = -646.568 eV for the cell shown
# Formation energy = -1.962 eV per atom
data_La2PbS4
_cell_length_a 8.824
_cell_length_b 8.824
_cell_length_c 8.782
_cell_angle_alpha 90.00
_cell_angle_beta 90.00
_cell_angle_gamma 90.00
_symmetry_space_group_name_H-M 'I -4 2 d'
_symmetry_Int_Tables_number 122
_symmetry_space_group_name_Hall 'I -4 2bw'
loop_
_atom_site_label
_atom_site_type_symbol
_atom_site_fract_x
_atom_site_fract_y
_atom_site_fract_z
La1 La 0.135 0.250 0.125
Pb1 Pb 0.000 0.000 0.500
S1 S 0.074 0.174 0.809

(5)
# EuZnSn r²SCAN relaxed
# Crystal system = orthorhombic
# Volume = 25.0 Å³ per atom
# DFT total energy = -296.158 eV for the cell shown
# Formation energy = -0.621 eV per atom
data_EuZnSn
_cell_length_a 7.833
_cell_length_b 4.749
_cell_length_c 8.052
_cell_angle_alpha 90.00
_cell_angle_beta 90.00
_cell_angle_gamma 90.00
_symmetry_space_group_name_H-M 'P n m a'
_symmetry_Int_Tables_number 62
_symmetry_space_group_name_Hall '-P 2ac 2n'
loop_
_atom_site_label
_atom_site_type_symbol
_atom_site_fract_x
_atom_site_fract_y
_atom_site_fract_z
Eu1 Eu 0.004 0.250 0.212
Zn1 Zn 0.179 0.750 0.417
Sn1 Sn 0.209 0.250 0.591